1) This record from the Materials Project database describes MgCr2Cl4O4 after structural relaxation. The functional is PBE+U.

a = 6.076 Å, b = 6.500 Å, c = 7.127 Å
α = 102.37°, β = 92.01°, γ = 88.62°
Fractional coordinates of all 11 atoms:
Mg: 0.903 0.178 0.410
Cr: 0.332 0.344 0.712
Cr: 0.805 0.653 0.283
Cl: 0.427 0.117 0.885
Cl: 0.945 0.881 0.122
Cl: 0.494 0.209 0.431
Cl: 0.906 0.852 0.565
O: 0.435 0.569 0.801
O: 0.923 0.417 0.272
O: 0.066 0.328 0.643
O: 0.543 0.665 0.268

Values from the calculation:
Magnetic moment: 0.182 μB per atom
Space group: P1 (1)
Volume: 24.98 Å³/atom

---

2) This record from the Materials Project database describes MgCr2Cl4O4 after structural relaxation. The functional is PBE+U.

a = 5.601 Å, b = 6.934 Å, c = 6.988 Å
α = 101.86°, β = 89.72°, γ = 89.32°
Fractional coordinates of all 11 atoms:
Mg: 0.722 0.183 0.164
Cr: 0.327 0.346 0.729
Cr: 0.795 0.664 0.277
Cl: 0.465 0.107 0.884
Cl: 0.947 0.876 0.100
Cl: 0.430 0.182 0.418
Cl: 0.945 0.793 0.558
O: 0.463 0.549 0.806
O: 0.894 0.430 0.207
O: 0.040 0.348 0.744
O: 0.513 0.698 0.288

Values from the calculation:
Magnetic moment: 0.182 μB per atom
Space group: P1 (1)
Volume: 24.14 Å³/atom

---

Ranked by calculated energy, most stable first: 1), 2).

---

1) This record from the Materials Project database describes Y6MgMn6O18 after structural relaxation. The functional is PBE+U.

a = 6.209 Å, b = 6.199 Å, c = 12.318 Å
α = 90.21°, β = 89.57°, γ = 120.05°
Fractional coordinates of all 31 atoms:
Y: 0.663 0.337 0.225
Y: 0.332 0.664 0.735
Y: 0.668 0.336 0.735
Y: 0.326 0.663 0.225
Y: 0.008 0.000 0.819
Y: 0.998 0.000 0.271
Mg: 0.012 0.000 0.610
Mn: 0.635 0.000 0.495
Mn: 0.655 0.660 0.006
Mn: 0.995 0.340 0.006
Mn: 0.005 0.630 0.481
Mn: 0.374 0.370 0.480
Mn: 0.348 0.000 0.007
O: 0.667 0.337 0.025
O: 0.343 0.671 0.529
O: 0.671 0.329 0.529
O: 0.330 0.663 0.025
O: 0.004 0.000 0.992
O: 0.999 0.000 0.460
O: 0.372 0.000 0.848
O: 0.357 0.362 0.317
O: 0.995 0.638 0.317
O: 0.994 0.358 0.847
O: 0.635 0.642 0.847
O: 0.623 0.000 0.338
O: 0.310 0.000 0.160
O: 0.288 0.286 0.682
O: 0.002 0.714 0.682
O: 0.991 0.301 0.160
O: 0.691 0.699 0.160
O: 0.709 0.000 0.663

Values from the calculation:
Magnetic moment: 0.838 μB per atom
Space group: Cm (8)
Volume: 13.24 Å³/atom

---

2) This record from the Materials Project database describes Y6MgMn6O18 after structural relaxation. The functional is PBE+U.

a = 6.229 Å, b = 6.338 Å, c = 11.913 Å
α = 90.65°, β = 88.68°, γ = 119.43°
Fractional coordinates of all 31 atoms:
Y: 0.651 0.328 0.268
Y: 0.343 0.671 0.775
Y: 0.672 0.329 0.775
Y: 0.322 0.672 0.268
Y: 0.010 0.000 0.731
Y: 0.985 0.000 0.193
Mg: 0.959 0.000 0.416
Mn: 0.520 0.000 0.520
Mn: 0.655 0.654 0.997
Mn: 0.000 0.346 0.997
Mn: 0.983 0.627 0.508
Mn: 0.356 0.373 0.508
Mn: 0.339 0.000 0.998
O: 0.673 0.341 0.977
O: 0.311 0.647 0.472
O: 0.664 0.353 0.472
O: 0.331 0.659 0.978
O: 0.980 0.000 0.015
O: 0.140 0.000 0.543
O: 0.313 0.000 0.826
O: 0.263 0.286 0.345
O: 0.978 0.714 0.345
O: 0.009 0.311 0.837
O: 0.697 0.689 0.837
O: 0.693 0.000 0.335
O: 0.348 0.000 0.174
O: 0.381 0.390 0.666
O: 0.991 0.610 0.666
O: 0.994 0.367 0.163
O: 0.628 0.633 0.163
O: 0.665 0.000 0.668

Values from the calculation:
Magnetic moment: 0.839 μB per atom
Space group: Cm (8)
Volume: 13.21 Å³/atom

---

Ranked by calculated energy, most stable first: 1), 2).

---

1) This record from the Materials Project database describes Na5Mn3F14 after structural relaxation. The functional is PBE+U.

a = 10.592 Å, b = 10.853 Å, c = 10.332 Å
α = 90.00°, β = 90.00°, γ = 90.00°
Fractional coordinates of all 88 atoms:
Na: 0.120 0.479 0.905
Na: 0.211 0.298 0.631
Na: 0.034 0.783 0.832
Na: 0.160 0.878 0.143
Na: 0.212 0.539 0.223
Na: 0.288 0.961 0.723
Na: 0.340 0.622 0.643
Na: 0.466 0.717 0.332
Na: 0.289 0.202 0.131
Na: 0.380 0.021 0.405
Na: 0.620 0.521 0.595
Na: 0.711 0.702 0.869
Na: 0.534 0.217 0.668
Na: 0.712 0.461 0.277
Na: 0.660 0.122 0.357
Na: 0.840 0.378 0.857
Na: 0.788 0.039 0.777
Na: 0.966 0.283 0.168
Na: 0.789 0.798 0.369
Na: 0.880 0.979 0.095
Mn: 0.954 0.523 0.566
Mn: 0.137 0.754 0.480
Mn: 0.933 0.655 0.109
Mn: 0.567 0.845 0.609
Mn: 0.363 0.746 0.980
Mn: 0.546 0.977 0.066
Mn: 0.454 0.477 0.934
Mn: 0.637 0.246 0.020
Mn: 0.433 0.345 0.391
Mn: 0.067 0.155 0.891
Mn: 0.863 0.254 0.520
Mn: 0.046 0.023 0.434
F: 0.991 0.503 0.187
F: 0.884 0.024 0.362
F: 0.093 0.053 0.062
F: 0.122 0.287 0.011
F: 0.095 0.145 0.319
F: 0.193 0.036 0.534
F: 0.003 0.361 0.487
F: 0.181 0.779 0.659
F: 0.976 0.132 0.587
F: 0.037 0.316 0.776
F: 0.265 0.650 0.432
F: 0.191 0.882 0.354
F: 0.401 0.828 0.546
F: 0.223 0.143 0.808
F: 0.277 0.357 0.308
F: 0.099 0.672 0.046
F: 0.235 0.850 0.932
F: 0.309 0.618 0.854
F: 0.463 0.184 0.276
F: 0.524 0.368 0.087
F: 0.319 0.721 0.159
F: 0.497 0.139 0.987
F: 0.307 0.464 0.034
F: 0.405 0.355 0.819
F: 0.378 0.213 0.511
F: 0.407 0.447 0.562
F: 0.509 0.997 0.687
F: 0.616 0.476 0.862
F: 0.491 0.497 0.313
F: 0.384 0.976 0.138
F: 0.622 0.713 0.489
F: 0.593 0.947 0.438
F: 0.595 0.855 0.181
F: 0.503 0.639 0.013
F: 0.693 0.964 0.966
F: 0.681 0.221 0.841
F: 0.537 0.684 0.724
F: 0.476 0.868 0.913
F: 0.765 0.350 0.068
F: 0.691 0.118 0.146
F: 0.901 0.172 0.954
F: 0.723 0.857 0.692
F: 0.777 0.643 0.192
F: 0.599 0.328 0.454
F: 0.735 0.150 0.568
F: 0.809 0.382 0.646
F: 0.024 0.632 0.413
F: 0.963 0.816 0.224
F: 0.819 0.279 0.341
F: 0.807 0.536 0.466
F: 0.997 0.861 0.513
F: 0.905 0.645 0.681
F: 0.907 0.553 0.938
F: 0.878 0.787 0.989
F: 0.116 0.524 0.638
F: 0.009 0.003 0.813

Values from the calculation:
Magnetic moment: 0.545 μB per atom
Space group: P2_12_12_1 (19)
Volume: 13.50 Å³/atom

---

2) This record from the Materials Project database describes Na5Mn3F14 after structural relaxation. The functional is PBE+U.

a = 7.721 Å, b = 12.273 Å, c = 12.524 Å
α = 90.00°, β = 90.00°, γ = 90.00°
Fractional coordinates of all 88 atoms:
Na: 0.025 0.471 0.015
Na: 0.178 0.253 0.581
Na: 0.213 0.746 0.927
Na: 0.233 0.002 0.262
Na: 0.240 0.496 0.267
Na: 0.260 0.004 0.767
Na: 0.267 0.498 0.762
Na: 0.287 0.754 0.427
Na: 0.322 0.247 0.081
Na: 0.475 0.029 0.515
Na: 0.525 0.529 0.485
Na: 0.678 0.747 0.919
Na: 0.713 0.254 0.573
Na: 0.740 0.504 0.233
Na: 0.733 0.998 0.238
Na: 0.767 0.502 0.738
Na: 0.760 0.996 0.733
Na: 0.787 0.246 0.073
Na: 0.822 0.753 0.419
Na: 0.975 0.971 0.985
Mn: 0.998 0.502 0.500
Mn: 0.004 0.752 0.690
Mn: 0.001 0.751 0.164
Mn: 0.499 0.749 0.664
Mn: 0.496 0.748 0.190
Mn: 0.502 0.998 0.000
Mn: 0.498 0.498 0.000
Mn: 0.504 0.248 0.810
Mn: 0.501 0.249 0.336
Mn: 0.999 0.251 0.836
Mn: 0.996 0.252 0.310
Mn: 0.002 0.002 0.500
F: 0.003 0.909 0.162
F: 0.001 0.593 0.157
F: 0.052 0.862 0.795
F: 0.059 0.642 0.789
F: 0.062 0.260 0.984
F: 0.068 0.143 0.414
F: 0.064 0.360 0.410
F: 0.073 0.749 0.307
F: 0.151 0.059 0.606
F: 0.140 0.442 0.607
F: 0.200 0.564 0.439
F: 0.204 0.940 0.439
F: 0.241 0.751 0.612
F: 0.246 0.249 0.761
F: 0.254 0.251 0.261
F: 0.259 0.749 0.112
F: 0.300 0.936 0.939
F: 0.296 0.560 0.939
F: 0.360 0.058 0.107
F: 0.349 0.441 0.106
F: 0.427 0.751 0.807
F: 0.436 0.140 0.910
F: 0.432 0.357 0.914
F: 0.438 0.240 0.484
F: 0.441 0.858 0.289
F: 0.448 0.638 0.295
F: 0.497 0.591 0.662
F: 0.499 0.907 0.657
F: 0.503 0.091 0.338
F: 0.501 0.407 0.343
F: 0.559 0.358 0.711
F: 0.552 0.138 0.705
F: 0.562 0.740 0.516
F: 0.564 0.640 0.090
F: 0.568 0.857 0.086
F: 0.573 0.251 0.193
F: 0.640 0.558 0.893
F: 0.651 0.941 0.894
F: 0.700 0.436 0.061
F: 0.704 0.060 0.061
F: 0.741 0.249 0.888
F: 0.746 0.751 0.739
F: 0.754 0.749 0.239
F: 0.759 0.251 0.388
F: 0.800 0.064 0.561
F: 0.796 0.440 0.561
F: 0.849 0.559 0.394
F: 0.860 0.942 0.393
F: 0.927 0.249 0.693
F: 0.932 0.643 0.586
F: 0.936 0.860 0.590
F: 0.938 0.760 0.016
F: 0.948 0.362 0.205
F: 0.941 0.142 0.211
F: 0.999 0.093 0.843
F: 0.997 0.409 0.838

Values from the calculation:
Magnetic moment: 0.545 μB per atom
Space group: P2_12_12_1 (19)
Volume: 13.49 Å³/atom

---

Ranked by calculated energy, most stable first: 2), 1).